Entry 1:
An optimized crystal structure of MnNi2Sn. Source: the Materials Project, functional PBE-GGA.

Cell lengths 4.278, 4.278, 4.278 Å; angles 60.00, 60.00, 60.00 degrees
Element x y z (fractional)
Ni (0.750, 0.750, 0.750)
Ni (0.250, 0.250, 0.250)
Sn (0.500, 0.500, 0.500)
Mn (0.000, 0.000, 0.000)

Computed properties:
- E_tot (eV/atom) = -6.35
- V (A^3/atom) = 13.84
- space-group type = Fm-3m, No. 225
- crystal system = cubic



Entry 2:
An optimized crystal structure of Mn3Ni4Sn. Source: the Materials Project, functional PBE-GGA.

Cell lengths 7.350, 7.350, 7.350 Å; angles 33.02, 33.02, 33.02 degrees
Element x y z (fractional)
Ni (0.129, 0.129, 0.129)
Ni (0.619, 0.619, 0.619)
Ni (0.381, 0.381, 0.381)
Ni (0.871, 0.871, 0.871)
Mn (0.752, 0.752, 0.752)
Mn (0.500, 0.500, 0.500)
Mn (0.248, 0.248, 0.248)
Sn (0.000, 0.000, 0.000)

Computed properties:
- E_tot (eV/atom) = -6.92
- V (A^3/atom) = 13.11
- space-group type = R-3m, No. 166
- size of the total moment (μB/cell) = 12.6
- crystal system = trigonal



Entry 3:
An optimized crystal structure of Mn2NiSn. Source: the Materials Project, functional PBE-GGA.

Cell lengths 4.276, 4.276, 4.276 Å; angles 60.00, 60.00, 60.00 degrees
Element x y z (fractional)
Mn (0.500, 0.500, 0.500)
Mn (0.750, 0.750, 0.750)
Sn (0.000, 0.000, 0.000)
Ni (0.250, 0.250, 0.250)

Computed properties:
- E_tot (eV/atom) = -6.96
- V (A^3/atom) = 13.82
- space-group type = F-43m, No. 216
- size of the total moment (μB/cell) = 4.0
- crystal system = cubic



Entry 4:
An optimized crystal structure of Mn7Ni8Sn. Source: the Materials Project, functional PBE-GGA.

Cell lengths 13.883, 13.883, 13.883 Å; angles 17.15, 17.15, 17.15 degrees
Element x y z (fractional)
Mn (0.500, 0.500, 0.500)
Mn (0.248, 0.248, 0.248)
Mn (0.126, 0.126, 0.126)
Mn (0.623, 0.623, 0.623)
Mn (0.874, 0.874, 0.874)
Mn (0.377, 0.377, 0.377)
Mn (0.752, 0.752, 0.752)
Ni (0.691, 0.691, 0.691)
Ni (0.813, 0.813, 0.813)
Ni (0.065, 0.065, 0.065)
Ni (0.935, 0.935, 0.935)
Ni (0.438, 0.438, 0.438)
Ni (0.562, 0.562, 0.562)
Ni (0.187, 0.187, 0.187)
Ni (0.309, 0.309, 0.309)
Sn (0.000, 0.000, 0.000)

Computed properties:
- E_tot (eV/atom) = -7.22
- V (A^3/atom) = 12.69
- space-group type = R-3m, No. 166
- size of the total moment (μB/cell) = 30.2
- crystal system = trigonal



Entry 5:
An optimized crystal structure of Mn5Ni8Sn3. Source: the Materials Project, functional PBE-GGA.

Cell lengths 14.003, 14.003, 14.003 Å; angles 17.34, 17.34, 17.34 degrees
Element x y z (fractional)
Ni (0.563, 0.563, 0.563)
Ni (0.685, 0.685, 0.685)
Ni (0.437, 0.437, 0.437)
Ni (0.813, 0.813, 0.813)
Ni (0.060, 0.060, 0.060)
Ni (0.187, 0.187, 0.187)
Ni (0.940, 0.940, 0.940)
Ni (0.315, 0.315, 0.315)
Sn (0.500, 0.500, 0.500)
Sn (0.749, 0.749, 0.749)
Sn (0.251, 0.251, 0.251)
Mn (0.626, 0.626, 0.626)
Mn (0.125, 0.125, 0.125)
Mn (0.875, 0.875, 0.875)
Mn (0.374, 0.374, 0.374)
Mn (0.000, 0.000, 0.000)

Computed properties:
- E_tot (eV/atom) = -6.63
- V (A^3/atom) = 13.30
- space-group type = R-3m, No. 166
- size of the total moment (μB/cell) = 20.5
- crystal system = trigonal



Entry 6:
An optimized crystal structure of TiMnNi4Sn2. Source: the Materials Project, functional PBE-GGA.

Cell lengths 7.426, 7.426, 7.426 Å; angles 33.73, 33.73, 33.73 degrees
Element x y z (fractional)
Ni (0.127, 0.127, 0.127)
Ni (0.377, 0.377, 0.377)
Ni (0.623, 0.623, 0.623)
Ni (0.873, 0.873, 0.873)
Sn (0.748, 0.748, 0.748)
Sn (0.252, 0.252, 0.252)
Ti (0.500, 0.500, 0.500)
Mn (0.000, 0.000, 0.000)

Computed properties:
- E_tot (eV/atom) = -6.32
- V (A^3/atom) = 14.06
- space-group type = R-3m, No. 166
- size of the total moment (μB/cell) = 3.6
- crystal system = trigonal



Entry 7:
An optimized crystal structure of MnVNi4Sn2. Source: the Materials Project, functional PBE-GGA.

Cell lengths 7.424, 7.424, 7.424 Å; angles 33.61, 33.61, 33.61 degrees
Element x y z (fractional)
Ni (0.875, 0.875, 0.875)
Ni (0.625, 0.625, 0.625)
Ni (0.375, 0.375, 0.375)
Ni (0.125, 0.125, 0.125)
Sn (0.250, 0.250, 0.250)
Sn (0.750, 0.750, 0.750)
Mn (0.000, 0.000, 0.000)
V (0.500, 0.500, 0.500)

Computed properties:
- E_tot (eV/atom) = -6.32
- V (A^3/atom) = 13.96
- space-group type = R-3m, No. 166
- size of the total moment (μB/cell) = 5.3
- crystal system = trigonal



Entry 8:
An optimized crystal structure of MnNiTe2. Source: the Materials Project, functional PBE-GGA.

Cell lengths 4.021, 4.021, 5.766 Å; angles 90.00, 90.00, 120.00 degrees
Element x y z (fractional)
Te (0.333, 0.667, 0.768)
Te (0.667, 0.333, 0.232)
Ni (0.000, 0.000, 0.000)
Mn (0.000, 0.000, 0.500)

Computed properties:
- E_tot (eV/atom) = -5.44
- V (A^3/atom) = 20.18
- space-group type = P-3m1, No. 164
- size of the total moment (μB/cell) = 3.3
- crystal system = trigonal